Mo6PbCl14 | PBE | optimized geometry Values from VASP.

Results
E = -5.4870 eV per atom
Formation enthalpy at 0 K = -1.39 eV per atom
Calculated volume = 2241 Å³/cell
SG = Pn-3

```
&SYSTEM
  ibrav = 0, nat = 84, ntyp = 3
/
ATOMIC_SPECIES
Mo 95.94 Mo.upf
Pb 207.20 Pb.upf
Cl 35.45 Cl.upf
CELL_PARAMETERS angstrom
13.086 0.000 0.000
0.000 13.086 0.000
0.000 0.000 13.086
ATOMIC_POSITIONS crystal
Mo 0.787 0.115 0.279
Mo 0.279 0.787 0.115
Mo 0.615 0.221 0.287
Mo 0.115 0.721 0.213
Mo 0.721 0.213 0.115
Mo 0.885 0.721 0.787
Mo 0.385 0.221 0.713
Mo 0.221 0.287 0.615
Mo 0.721 0.787 0.885
Mo 0.787 0.885 0.721
Mo 0.615 0.779 0.713
Mo 0.779 0.713 0.615
Mo 0.713 0.385 0.221
Mo 0.885 0.279 0.213
Mo 0.779 0.287 0.385
Mo 0.287 0.615 0.221
Mo 0.713 0.615 0.779
Mo 0.221 0.713 0.385
Mo 0.279 0.213 0.885
Mo 0.115 0.279 0.787
Mo 0.287 0.385 0.779
Mo 0.385 0.779 0.287
Mo 0.213 0.885 0.279
Mo 0.213 0.115 0.721
Pb 0.750 0.750 0.250
Pb 0.250 0.250 0.250
Pb 0.250 0.750 0.750
Pb 0.750 0.250 0.750
Cl 0.940 0.678 0.159
Cl 0.939 0.814 0.630
Cl 0.186 0.630 0.061
Cl 0.561 0.314 0.130
Cl 0.178 0.659 0.560
Cl 0.841 0.940 0.322
Cl 0.061 0.186 0.630
Cl 0.560 0.822 0.341
Cl 0.322 0.841 0.940
Cl 0.686 0.870 0.561
Cl 0.440 0.822 0.659
Cl 0.314 0.870 0.439
Cl 0.115 0.885 0.115
Cl 0.630 0.061 0.186
Cl 0.615 0.615 0.615
Cl 0.686 0.130 0.439
Cl 0.370 0.939 0.186
Cl 0.341 0.560 0.822
Cl 0.440 0.178 0.341
Cl 0.885 0.115 0.115
Cl 0.130 0.439 0.686
Cl 0.822 0.341 0.560
Cl 0.439 0.686 0.130
Cl 0.060 0.322 0.159
Cl 0.178 0.341 0.440
Cl 0.439 0.314 0.870
Cl 0.370 0.061 0.814
Cl 0.822 0.659 0.440
Cl 0.115 0.115 0.885
Cl 0.159 0.060 0.322
Cl 0.678 0.159 0.940
Cl 0.186 0.370 0.939
Cl 0.940 0.322 0.841
Cl 0.814 0.370 0.061
Cl 0.885 0.885 0.885
Cl 0.870 0.439 0.314
Cl 0.130 0.561 0.314
Cl 0.560 0.178 0.659
Cl 0.061 0.814 0.370
Cl 0.659 0.440 0.822
Cl 0.561 0.686 0.870
Cl 0.314 0.130 0.561
Cl 0.870 0.561 0.686
Cl 0.159 0.940 0.678
Cl 0.060 0.678 0.841
Cl 0.841 0.060 0.678
Cl 0.341 0.440 0.178
Cl 0.615 0.385 0.385
Cl 0.678 0.841 0.060
Cl 0.322 0.159 0.060
Cl 0.630 0.939 0.814
Cl 0.659 0.560 0.178
Cl 0.385 0.385 0.615
Cl 0.385 0.615 0.385
Cl 0.939 0.186 0.370
Cl 0.814 0.630 0.939
```

=====

Rb3Mo2Cl9 | PBE | optimized geometry Values from VASP.

Results
E = -4.3312 eV per atom
Formation enthalpy at 0 K = -1.78 eV per atom
Calculated volume = 831 Å³/cell
SG = P6_3/mmc

```
&SYSTEM
  ibrav = 0, nat = 28, ntyp = 3
/
ATOMIC_SPECIES
Rb 85.47 Rb.upf
Mo 95.94 Mo.upf
Cl 35.45 Cl.upf
CELL_PARAMETERS angstrom
3.665 -6.349 0.000
3.665 6.349 0.000
0.000 0.000 17.845
ATOMIC_POSITIONS crystal
Rb 0.000 0.000 0.250
Rb 0.000 0.000 0.750
Rb 0.333 0.667 0.067
Rb 0.667 0.333 0.567
Rb 0.333 0.667 0.433
Rb 0.667 0.333 0.933
Mo 0.333 0.667 0.828
Mo 0.667 0.333 0.328
Mo 0.667 0.333 0.172
Mo 0.333 0.667 0.672
Cl 0.823 0.177 0.405
Cl 0.823 0.645 0.405
Cl 0.355 0.177 0.405
Cl 0.645 0.823 0.905
Cl 0.177 0.355 0.595
Cl 0.177 0.823 0.905
Cl 0.177 0.355 0.905
Cl 0.823 0.177 0.095
Cl 0.355 0.177 0.095
Cl 0.645 0.823 0.595
Cl 0.504 0.007 0.250
Cl 0.496 0.504 0.750
Cl 0.007 0.504 0.750
Cl 0.993 0.496 0.250
Cl 0.504 0.496 0.250
Cl 0.496 0.993 0.750
Cl 0.823 0.645 0.095
Cl 0.177 0.823 0.595
```

=====

MoS2Cl3 | PBE | optimized geometry Values from VASP.

Results
E = -4.7853 eV per atom
Formation enthalpy at 0 K = -1.15 eV per atom
Calculated volume = 632 Å³/cell
SG = P2_1/c

```
&SYSTEM
  ibrav = 0, nat = 24, ntyp = 3
/
ATOMIC_SPECIES
Mo 95.94 Mo.upf
S 32.06 S.upf
Cl 35.45 Cl.upf
CELL_PARAMETERS angstrom
7.714 0.000 0.000
0.000 6.253 0.000
0.000 5.890 13.104
ATOMIC_POSITIONS crystal
Mo 0.593 0.702 0.995
Mo 0.093 0.298 0.505
Mo 0.407 0.298 0.005
Mo 0.907 0.702 0.495
S 0.717 0.315 0.048
S 0.283 0.685 0.952
S 0.783 0.315 0.548
S 0.217 0.685 0.452
S 0.049 0.659 0.351
S 0.549 0.341 0.149
S 0.951 0.341 0.649
S 0.451 0.659 0.851
Cl 0.679 0.765 0.365
Cl 0.821 0.765 0.865
Cl 0.179 0.235 0.135
Cl 0.321 0.235 0.635
Cl 0.928 0.142 0.390
Cl 0.428 0.858 0.110
Cl 0.072 0.858 0.610
Cl 0.572 0.142 0.890
Cl 0.670 0.776 0.584
Cl 0.170 0.224 0.916
Cl 0.330 0.224 0.416
Cl 0.830 0.776 0.084
```

=====

MoSeS2Cl5 | PBE | optimized geometry Values from VASP.

Results
E = -4.1213 eV per atom
Formation enthalpy at 0 K = -1.03 eV per atom
Calculated volume = 1105 Å³/cell
Size of the total moment = 0.000 μB per atom
SG = C2/c

```
&SYSTEM
  ibrav = 0, nat = 36, ntyp = 4
/
ATOMIC_SPECIES
Mo 95.94 Mo.upf
Se 78.96 Se.upf
S 32.06 S.upf
Cl 35.45 Cl.upf
CELL_PARAMETERS angstrom
4.896 8.891 0.000
-4.896 8.891 0.000
0.000 6.426 12.690
ATOMIC_POSITIONS crystal
Mo 0.612 0.240 0.238
Mo 0.388 0.760 0.762
Mo 0.240 0.612 0.738
Mo 0.760 0.388 0.262
Se 0.228 0.075 0.762
Se 0.772 0.925 0.238
Se 0.075 0.228 0.262
Se 0.925 0.772 0.738
S 0.861 0.251 0.123
S 0.251 0.861 0.623
S 0.139 0.749 0.877
S 0.339 0.539 0.891
S 0.461 0.661 0.609
S 0.749 0.139 0.377
S 0.661 0.461 0.109
S 0.539 0.339 0.391
Cl 0.438 0.342 0.725
Cl 0.228 0.144 0.113
Cl 0.979 0.132 0.865
Cl 0.065 0.479 0.849
Cl 0.160 0.620 0.591
Cl 0.479 0.065 0.349
Cl 0.021 0.868 0.135
Cl 0.562 0.658 0.275
Cl 0.342 0.438 0.225
Cl 0.856 0.772 0.387
Cl 0.144 0.228 0.613
Cl 0.521 0.935 0.651
Cl 0.772 0.856 0.887
Cl 0.380 0.840 0.909
Cl 0.840 0.380 0.409
Cl 0.935 0.521 0.151
Cl 0.620 0.160 0.091
Cl 0.868 0.021 0.635
Cl 0.132 0.979 0.365
Cl 0.658 0.562 0.775
```

=====

MoSe2Cl12 | PBE | optimized geometry Values from VASP.

Results
E = -3.1705 eV per atom
Formation enthalpy at 0 K = -0.99 eV per atom
Calculated volume = 906 Å³/cell
Size of the total moment = 0.133 μB per atom
SG = Fdd2

```
&SYSTEM
  ibrav = 0, nat = 30, ntyp = 3
/
ATOMIC_SPECIES
Mo 95.94 Mo.upf
Se 78.96 Se.upf
Cl 35.45 Cl.upf
CELL_PARAMETERS angstrom
1.985 0.691 12.773
-4.672 -5.040 10.801
5.409 -6.616 2.834
ATOMIC_POSITIONS crystal
Mo 0.124 0.124 0.376
Mo 0.874 0.874 0.126
Se 0.473 0.938 0.572
Se 0.678 0.233 0.777
Se 0.938 0.473 0.017
Se 0.233 0.678 0.312
Cl 0.090 0.012 0.262
Cl 0.169 0.233 0.483
Cl 0.233 0.169 0.115
Cl 0.923 0.831 0.387
Cl 0.054 0.502 0.778
Cl 0.614 0.988 0.238
Cl 0.449 0.314 0.899
Cl 0.713 0.689 0.579
Cl 0.913 0.351 0.936
Cl 0.472 0.584 0.196
Cl 0.314 0.449 0.337
Cl 0.391 0.863 0.419
Cl 0.584 0.472 0.748
Cl 0.988 0.614 0.160
Cl 0.671 0.230 0.537
Cl 0.502 0.054 0.666
Cl 0.135 0.767 0.017
Cl 0.689 0.713 0.020
Cl 0.767 0.135 0.081
Cl 0.012 0.090 0.636
Cl 0.351 0.913 0.801
Cl 0.863 0.391 0.327
Cl 0.230 0.671 0.561
Cl 0.831 0.923 0.859
```

=====

Te3MoCl16 | PBE | optimized geometry Values from VASP.

Results
E = -3.1528 eV per atom
Formation enthalpy at 0 K = -1.15 eV per atom
Calculated volume = 1350 Å³/cell
Size of the total moment = 0.099 μB per atom
SG = Cmc2_1

```
&SYSTEM
  ibrav = 0, nat = 40, ntyp = 3
/
ATOMIC_SPECIES
Te 127.60 Te.upf
Mo 95.94 Mo.upf
Cl 35.45 Cl.upf
CELL_PARAMETERS angstrom
6.560 -8.172 0.000
6.560 8.172 0.000
0.000 0.000 12.596
ATOMIC_POSITIONS crystal
Te 0.539 0.263 0.997
Te 0.461 0.737 0.497
Te 0.737 0.461 0.497
Te 0.263 0.539 0.997
Te 0.136 0.136 0.733
Te 0.864 0.864 0.233
Mo 0.670 0.670 0.977
Mo 0.330 0.330 0.477
Cl 0.733 0.248 0.088
Cl 0.267 0.752 0.588
Cl 0.752 0.267 0.588
Cl 0.248 0.733 0.088
Cl 0.565 0.115 0.863
Cl 0.435 0.885 0.363
Cl 0.885 0.435 0.363
Cl 0.115 0.565 0.863
Cl 0.404 0.108 0.110
Cl 0.596 0.892 0.610
Cl 0.892 0.596 0.610
Cl 0.108 0.404 0.110
Cl 0.000 0.000 0.610
Cl 0.000 0.000 0.110
Cl 0.175 0.956 0.833
Cl 0.825 0.044 0.333
Cl 0.044 0.825 0.333
Cl 0.956 0.175 0.833
Cl 0.648 0.853 0.086
Cl 0.352 0.147 0.586
Cl 0.147 0.352 0.586
Cl 0.853 0.648 0.086
Cl 0.796 0.796 0.853
Cl 0.204 0.204 0.353
Cl 0.687 0.474 0.879
Cl 0.313 0.526 0.379
Cl 0.526 0.313 0.379
Cl 0.474 0.687 0.879
Cl 0.523 0.523 0.102
Cl 0.477 0.477 0.602
Cl 0.308 0.308 0.889
Cl 0.692 0.692 0.389
```

=====

Te2MoCl12 | PBE | optimized geometry Values from VASP.

Results
E = -3.2875 eV per atom
Formation enthalpy at 0 K = -1.16 eV per atom
Calculated volume = 1433 Å³/cell
Size of the total moment = 0.092 μB per atom
SG = R-3

```
&SYSTEM
  ibrav = 0, nat = 45, ntyp = 3
/
ATOMIC_SPECIES
Te 127.60 Te.upf
Mo 95.94 Mo.upf
Cl 35.45 Cl.upf
CELL_PARAMETERS angstrom
-10.928 7.676 4.641
-5.525 1.740 12.897
-0.699 11.244 8.542
ATOMIC_POSITIONS crystal
Te 0.609 0.897 0.248
Te 0.248 0.609 0.897
Te 0.897 0.248 0.609
Te 0.391 0.103 0.752
Te 0.752 0.391 0.103
Te 0.103 0.752 0.391
Mo 0.253 0.253 0.253
Mo 0.747 0.747 0.747
Mo 0.500 0.500 0.500
Cl 0.735 0.740 0.389
Cl 0.389 0.735 0.740
Cl 0.740 0.389 0.735
Cl 0.265 0.260 0.611
Cl 0.611 0.265 0.260
Cl 0.260 0.611 0.265
Cl 0.748 0.781 0.103
Cl 0.103 0.748 0.781
Cl 0.781 0.103 0.748
Cl 0.252 0.219 0.897
Cl 0.897 0.252 0.219
Cl 0.219 0.897 0.252
Cl 0.731 0.040 0.096
Cl 0.096 0.731 0.040
Cl 0.040 0.096 0.731
Cl 0.269 0.960 0.904
Cl 0.904 0.269 0.960
Cl 0.960 0.904 0.269
Cl 0.413 0.114 0.119
Cl 0.119 0.413 0.114
Cl 0.114 0.119 0.413
Cl 0.587 0.886 0.881
Cl 0.881 0.587 0.886
Cl 0.886 0.881 0.587
Cl 0.393 0.092 0.384
Cl 0.384 0.393 0.092
Cl 0.092 0.384 0.393
Cl 0.607 0.908 0.616
Cl 0.616 0.607 0.908
Cl 0.908 0.616 0.607
Cl 0.436 0.733 0.441
Cl 0.441 0.436 0.733
Cl 0.733 0.441 0.436
Cl 0.564 0.267 0.559
Cl 0.559 0.564 0.267
Cl 0.267 0.559 0.564
```

=====

NaZr2SN2Cl | PBE | optimized geometry Values from VASP.

Results
Energy above the lowest structure with this stoichiometry = 0.015 eV per atom
E = -7.4659 eV per atom
Formation enthalpy at 0 K = -1.76 eV per atom
Calculated volume = 119 Å³/cell
Size of the total moment = 0.000 μB per atom
SG = R3m

```
&SYSTEM
  ibrav = 0, nat = 7, ntyp = 5
/
ATOMIC_SPECIES
Na 22.99 Na.upf
Zr 91.22 Zr.upf
S 32.06 S.upf
N 14.01 N.upf
Cl 35.45 Cl.upf
CELL_PARAMETERS angstrom
-2.621 8.761 4.799
-4.250 6.293 7.000
-0.684 7.105 7.464
ATOMIC_POSITIONS crystal
Na 0.004 0.004 0.004
Zr 0.205 0.205 0.205
Zr 0.786 0.786 0.786
S 0.396 0.396 0.396
N 0.137 0.137 0.137
N 0.863 0.863 0.863
Cl 0.609 0.609 0.609
```

=====

- Which of these has the highest E?
  Te3MoCl16

=====

- Among the records above, which one has the lowest E?
  NaZr2SN2Cl

=====

- Which of these has the lowest calculated volume?
  NaZr2SN2Cl

=====

Please write out number 6 again, unchanged.
Te3MoCl16 | PBE | optimized geometry Values from VASP.

Results
E = -3.1528 eV per atom
Formation enthalpy at 0 K = -1.15 eV per atom
Calculated volume = 1350 Å³/cell
Size of the total moment = 0.099 μB per atom
SG = Cmc2_1

```
&SYSTEM
  ibrav = 0, nat = 40, ntyp = 3
/
ATOMIC_SPECIES
Te 127.60 Te.upf
Mo 95.94 Mo.upf
Cl 35.45 Cl.upf
CELL_PARAMETERS angstrom
6.560 -8.172 0.000
6.560 8.172 0.000
0.000 0.000 12.596
ATOMIC_POSITIONS crystal
Te 0.539 0.263 0.997
Te 0.461 0.737 0.497
Te 0.737 0.461 0.497
Te 0.263 0.539 0.997
Te 0.136 0.136 0.733
Te 0.864 0.864 0.233
Mo 0.670 0.670 0.977
Mo 0.330 0.330 0.477
Cl 0.733 0.248 0.088
Cl 0.267 0.752 0.588
Cl 0.752 0.267 0.588
Cl 0.248 0.733 0.088
Cl 0.565 0.115 0.863
Cl 0.435 0.885 0.363
Cl 0.885 0.435 0.363
Cl 0.115 0.565 0.863
Cl 0.404 0.108 0.110
Cl 0.596 0.892 0.610
Cl 0.892 0.596 0.610
Cl 0.108 0.404 0.110
Cl 0.000 0.000 0.610
Cl 0.000 0.000 0.110
Cl 0.175 0.956 0.833
Cl 0.825 0.044 0.333
Cl 0.044 0.825 0.333
Cl 0.956 0.175 0.833
Cl 0.648 0.853 0.086
Cl 0.352 0.147 0.586
Cl 0.147 0.352 0.586
Cl 0.853 0.648 0.086
Cl 0.796 0.796 0.853
Cl 0.204 0.204 0.353
Cl 0.687 0.474 0.879
Cl 0.313 0.526 0.379
Cl 0.526 0.313 0.379
Cl 0.474 0.687 0.879
Cl 0.523 0.523 0.102
Cl 0.477 0.477 0.602
Cl 0.308 0.308 0.889
Cl 0.692 0.692 0.389
```